1.
Computed, not measured: crystalline PrNiO3 at its relaxed geometry at the GGA+U level of DFT.

- ΔH_f (0 K) (meV/atom) = -2406

a = 5.383 Å, b = 5.383 Å, c = 5.383 Å
α = 61.98°, β = 61.98°, γ = 61.98°
Sites, in units of the cell vectors:
Pr: 0.750 0.750 0.750
Pr: 0.250 0.250 0.250
Ni: 0.500 0.500 0.500
Ni: 0.000 0.000 0.000
O: 0.182 0.318 0.750
O: 0.750 0.182 0.318
O: 0.318 0.750 0.182
O: 0.818 0.682 0.250
O: 0.682 0.250 0.818
O: 0.250 0.818 0.682



2.
Computed, not measured: crystalline Pr2NiO4 at its relaxed geometry at the GGA+U level of DFT.

- ΔH_f (0 K) (meV/atom) = -2932
- offset from the most stable computed form (meV/atom) = 26

a = 3.882 Å, b = 3.882 Å, c = 6.801 Å
α = 106.57°, β = 106.57°, γ = 90.05°
Sites, in units of the cell vectors:
Pr: 0.636 0.636 0.271
Pr: 0.364 0.364 0.729
Ni: 0.000 0.000 0.000
O: 0.822 0.822 0.644
O: 0.178 0.178 0.356
O: 0.000 0.500 0.000
O: 0.500 0.000 0.000



3.
Computed, not measured: crystalline Pr2NiPtO6 at its relaxed geometry at the GGA+U level of DFT.

- ΔH_f (0 K) (meV/atom) = -2470

a = 5.805 Å, b = 5.516 Å, c = 9.630 Å
α = 54.99°, β = 90.00°, γ = 90.00°
Sites, in units of the cell vectors:
Pr: 0.435 0.233 0.749
Pr: 0.565 0.767 0.251
Pr: 0.935 0.767 0.751
Pr: 0.065 0.233 0.249
Ni: 0.000 0.500 0.500
Ni: 0.500 0.500 0.000
Pt: 0.000 0.000 0.000
Pt: 0.500 0.000 0.500
O: 0.030 0.348 0.751
O: 0.970 0.652 0.249
O: 0.530 0.652 0.749
O: 0.470 0.348 0.251
O: 0.705 0.858 0.948
O: 0.295 0.142 0.052
O: 0.205 0.142 0.552
O: 0.795 0.858 0.448
O: 0.199 0.750 0.950
O: 0.801 0.250 0.050
O: 0.699 0.250 0.550
O: 0.301 0.750 0.450



4.
Computed, not measured: crystalline SrPrNiRuO6 at its relaxed geometry at the GGA+U level of DFT.

- ΔH_f (0 K) (meV/atom) = -2390

a = 5.656 Å, b = 5.578 Å, c = 9.664 Å
α = 54.82°, β = 90.00°, γ = 90.00°
Sites, in units of the cell vectors:
Sr: 0.216 0.245 0.250
Sr: 0.784 0.245 0.750
Pr: 0.302 0.761 0.752
Pr: 0.698 0.761 0.252
Ni: 0.756 0.501 0.001
Ni: 0.244 0.501 0.501
Ru: 0.753 0.000 0.500
Ru: 0.247 0.000 0.000
O: 0.762 0.333 0.256
O: 0.238 0.333 0.756
O: 0.729 0.689 0.744
O: 0.271 0.689 0.244
O: 0.038 0.152 0.544
O: 0.962 0.152 0.044
O: 0.476 0.826 0.460
O: 0.524 0.826 0.960
O: 0.950 0.757 0.455
O: 0.050 0.757 0.955
O: 0.535 0.236 0.538
O: 0.465 0.236 0.038



5.
Computed, not measured: crystalline PrZnNi2O6 at its relaxed geometry at the GGA+U level of DFT.

- ΔH_f (0 K) (meV/atom) = -1684

a = 5.221 Å, b = 5.423 Å, c = 7.585 Å
α = 90.00°, β = 90.00°, γ = 90.00°
Sites, in units of the cell vectors:
Pr: 0.011 0.707 0.000
Pr: 0.511 0.293 0.500
Zn: 0.473 0.199 0.000
Zn: 0.973 0.801 0.500
Ni: 0.998 0.248 0.752
Ni: 0.998 0.248 0.248
Ni: 0.498 0.752 0.252
Ni: 0.498 0.752 0.748
O: 0.074 0.199 0.500
O: 0.236 0.989 0.811
O: 0.236 0.989 0.189
O: 0.306 0.449 0.192
O: 0.306 0.449 0.808
O: 0.363 0.731 0.500
O: 0.574 0.801 0.000
O: 0.736 0.011 0.689
O: 0.736 0.011 0.311
O: 0.806 0.551 0.692
O: 0.806 0.551 0.308
O: 0.863 0.269 0.000



6.
Computed, not measured: crystalline NiPtO2 at its relaxed geometry at the GGA+U level of DFT.

- ΔH_f (0 K) (meV/atom) = -942

a = 5.041 Å, b = 6.966 Å, c = 5.892 Å
α = 114.95°, β = 90.16°, γ = 103.79°
Sites, in units of the cell vectors:
Ni: 0.500 0.500 0.745
Ni: 0.000 0.500 0.005
Ni: 0.500 0.500 0.245
Ni: 0.000 0.500 0.505
Pt: 0.000 0.000 0.499
Pt: 0.500 0.000 0.751
Pt: 0.000 0.000 0.999
Pt: 0.500 0.000 0.251
O: 0.108 0.321 0.664
O: 0.608 0.321 0.907
O: 0.108 0.321 0.164
O: 0.608 0.321 0.407
O: 0.892 0.679 0.843
O: 0.392 0.679 0.086
O: 0.892 0.679 0.343
O: 0.392 0.679 0.586



7.
Computed, not measured: crystalline NiPt12O16 at its relaxed geometry at the GGA+U level of DFT.

- ΔH_f (0 K) (meV/atom) = -713
- offset from the most stable computed form (meV/atom) = 59

a = 8.026 Å, b = 8.026 Å, c = 8.026 Å
α = 60.00°, β = 60.00°, γ = 60.00°
Sites, in units of the cell vectors:
Ni: 0.000 0.000 0.000
Pt: 0.376 0.873 0.127
Pt: 0.624 0.127 0.873
Pt: 0.624 0.873 0.376
Pt: 0.127 0.873 0.624
Pt: 0.624 0.376 0.127
Pt: 0.376 0.127 0.624
Pt: 0.873 0.376 0.624
Pt: 0.127 0.624 0.376
Pt: 0.127 0.376 0.873
Pt: 0.376 0.624 0.873
Pt: 0.873 0.127 0.376
Pt: 0.873 0.624 0.127
O: 0.659 0.114 0.114
O: 0.372 0.884 0.372
O: 0.114 0.114 0.659
O: 0.886 0.886 0.886
O: 0.628 0.628 0.116
O: 0.372 0.372 0.372
O: 0.628 0.116 0.628
O: 0.341 0.886 0.886
O: 0.372 0.372 0.884
O: 0.116 0.628 0.628
O: 0.628 0.628 0.628
O: 0.886 0.341 0.886
O: 0.114 0.114 0.114
O: 0.886 0.886 0.341
O: 0.884 0.372 0.372
O: 0.114 0.659 0.114



8.
Computed, not measured: crystalline NiPt12O16 at its relaxed geometry at the GGA+U level of DFT.

- ΔH_f (0 K) (meV/atom) = -772
- offset from the most stable computed form (meV/atom) = 0

a = 5.692 Å, b = 5.738 Å, c = 11.332 Å
α = 90.00°, β = 90.00°, γ = 90.00°
Sites, in units of the cell vectors:
Ni: 0.500 0.500 0.500
Pt: 0.500 0.000 0.626
Pt: 0.500 0.000 0.126
Pt: 0.749 0.500 0.247
Pt: 0.749 0.500 0.753
Pt: 0.000 0.751 0.500
Pt: 0.000 0.753 0.000
Pt: 0.500 0.000 0.374
Pt: 0.500 0.000 0.874
Pt: 0.251 0.500 0.247
Pt: 0.251 0.500 0.753
Pt: 0.000 0.249 0.500
Pt: 0.000 0.247 0.000
O: 0.729 0.730 0.616
O: 0.751 0.752 0.124
O: 0.271 0.270 0.384
O: 0.249 0.248 0.876
O: 0.271 0.730 0.384
O: 0.249 0.752 0.876
O: 0.729 0.270 0.616
O: 0.751 0.248 0.124
O: 0.271 0.270 0.616
O: 0.249 0.248 0.124
O: 0.729 0.730 0.384
O: 0.751 0.752 0.876
O: 0.729 0.270 0.384
O: 0.751 0.248 0.876
O: 0.271 0.730 0.616
O: 0.249 0.752 0.124